Density functional theory data (PBE) for a relaxed LaHoTl2 crystal.

Unit cell a=7.783 b=7.783 c=7.783 alpha=90.00 beta=90.00 gamma=90.00
Space group Fm-3m (No. 225)
Symmetry-distinct sites (fractional):
La: 0.000 0.000 0.000 [4 per cell]
Ho: 0.000 0.000 0.500 [4 per cell]
Tl: 0.250 0.250 0.250 [8 per cell]

- Energy of formation from the pure elements: -0.3762 eV/atom

Density functional theory data (PBE) for a relaxed LiHo3 crystal.

Unit cell a=4.774 b=4.774 c=10.153 alpha=90.00 beta=90.00 gamma=90.00
Space group I4/mmm (No. 139)
Symmetry-distinct sites (fractional):
Li: 0.000 0.000 0.000 [2 per cell]
Ho: 0.000 0.000 0.500 [2 per cell]
Ho: 0.000 0.500 0.250 [4 per cell]

- Size of the total moment: 0.02 μB/cell
- Energy of formation from the pure elements: 0.1981 eV/atom
- Energy above the lowest structure with this stoichiometry: 11.3 meV per atom

Density functional theory data (PBE) for a relaxed LiHo3 crystal.

Unit cell a=4.861 b=4.861 c=4.861 alpha=90.00 beta=90.00 gamma=90.00
Space group Pm-3m (No. 221)
Symmetry-distinct sites (fractional):
Li: 0.000 0.000 0.000 [1 per cell]
Ho: 0.000 0.500 0.500 [3 per cell]

- Size of the total moment: 0.00 μB/cell
- Energy of formation from the pure elements: 0.2002 eV/atom
- Energy above the lowest structure with this stoichiometry: 13.4 meV per atom

Density functional theory data (PBE) for a relaxed LiHo3 crystal.

Unit cell a=6.9749 b=6.9749 c=5.5062 alpha=90.00 beta=90.00 gamma=120.00
Space group P6_3/mmc (No. 194)
Symmetry-distinct sites (fractional):
Li: 0.3333 0.6667 0.2500 [2 per cell]
Ho: 0.1686 0.3371 0.7500 [6 per cell]

- Size of the total moment: 1.38 μB/cell
- Energy of formation from the pure elements: 0.1868 eV/atom
- Energy above the lowest structure with this stoichiometry: 0.0 meV per atom

Density functional theory data (PBE) for a relaxed LiHo2O3 crystal.

Unit cell a=7.207 b=3.599 c=6.661 alpha=90.00 beta=107.84 gamma=90.00
Space group Cm (No. 8)
Symmetry-distinct sites (fractional):
Li: 0.000 0.000 0.000 [2 per cell]
Ho: 0.210 0.000 0.704 [2 per cell]
Ho: 0.280 0.500 0.277 [2 per cell]
O: 0.104 0.000 0.341 [2 per cell]
O: 0.312 0.000 0.057 [2 per cell]
O: 0.383 0.500 0.644 [2 per cell]

- Size of the total moment: 1.93 μB/cell
- Energy of formation from the pure elements: -3.1268 eV/atom
- MP2020-corrected energy: -89.36 eV per cell
- Energy above the lowest structure with this stoichiometry: 30.5 meV per atom

Density functional theory data (PBE) for a relaxed LiHo2O3 crystal.

Unit cell a=3.3458 b=3.3458 c=7.8689 alpha=90.00 beta=90.00 gamma=120.00
Space group P-3m1 (No. 164)
Symmetry-distinct sites (fractional):
Li: 0.0000 0.0000 0.0000 [1 per cell]
Ho: 0.3333 0.6667 0.6802 [2 per cell]
O: 0.0000 0.0000 0.5000 [1 per cell]
O: 0.3333 0.6667 0.1671 [2 per cell]

- Size of the total moment: 0.00 μB/cell
- Energy of formation from the pure elements: -3.1573 eV/atom
- MP2020-corrected energy: -44.86 eV per cell
- Energy above the lowest structure with this stoichiometry: 0.0 meV per atom

Density functional theory data (PBE) for a relaxed LiHoP4O12 crystal.

Unit cell a=16.405 b=7.118 c=9.652 alpha=90.00 beta=125.99 gamma=90.00
Space group C2/c (No. 15)
Symmetry-distinct sites (fractional):
Li: 0.000 0.206 0.250 [4 per cell]
Ho: 0.000 0.297 0.750 [4 per cell]
P: 0.137 0.051 0.616 [8 per cell]
P: 0.146 0.350 0.194 [8 per cell]
O: 0.066 0.003 0.428 [8 per cell]
O: 0.071 0.418 0.226 [8 per cell]
O: 0.112 0.213 0.684 [8 per cell]
O: 0.126 0.383 0.023 [8 per cell]
O: 0.156 0.127 0.234 [8 per cell]
O: 0.245 0.079 0.651 [8 per cell]

- Size of the total moment: 0.00 μB/cell
- Energy of formation from the pure elements: -2.9289 eV/atom
- MP2020-corrected energy: -560.96 eV per cell

Density functional theory data (PBE) for a relaxed LiHo2Ta2O8 crystal.

Unit cell a=6.885 b=11.217 c=5.170 alpha=90.00 beta=128.61 gamma=90.00
Space group C2 (No. 5)
Symmetry-distinct sites (fractional):
Li: 0.000 0.000 0.000 [2 per cell]
Ho: 0.000 0.246 0.000 [2 per cell]
Ho: 0.000 0.507 0.500 [2 per cell]
Ta: 0.000 0.765 0.000 [2 per cell]
Ta: 0.000 0.955 0.500 [2 per cell]
O: 0.140 0.076 0.388 [4 per cell]
O: 0.147 0.658 0.880 [4 per cell]
O: 0.236 0.905 0.986 [4 per cell]
O: 0.237 0.839 0.482 [4 per cell]

- Size of the total moment: 1.99 μB/cell
- Energy of formation from the pure elements: -3.3374 eV/atom
- MP2020-corrected energy: -235.52 eV per cell
- Energy above the lowest structure with this stoichiometry: 32.8 meV per atom

Density functional theory data (PBE) for a relaxed LiHo2Ta2O8 crystal.

Unit cell a=6.831 b=11.000 c=5.253 alpha=90.00 beta=129.22 gamma=90.00
Space group C2 (No. 5)
Symmetry-distinct sites (fractional):
Li: 0.000 0.000 0.000 [2 per cell]
Ho: 0.000 0.038 0.500 [2 per cell]
Ho: 0.000 0.308 0.000 [2 per cell]
Ta: 0.000 0.576 0.500 [2 per cell]
Ta: 0.000 0.752 0.000 [2 per cell]
O: 0.136 0.877 0.893 [4 per cell]
O: 0.143 0.458 0.387 [4 per cell]
O: 0.241 0.135 0.019 [4 per cell]
O: 0.243 0.697 0.472 [4 per cell]

- Size of the total moment: 2.02 μB/cell
- Energy of formation from the pure elements: -3.3702 eV/atom
- MP2020-corrected energy: -236.37 eV per cell
- Energy above the lowest structure with this stoichiometry: 0.0 meV per atom

Density functional theory data (PBE) for a relaxed LiHo2Pt crystal.

Unit cell a=7.008 b=7.008 c=7.008 alpha=90.00 beta=90.00 gamma=90.00
Space group Fm-3m (No. 225)
Symmetry-distinct sites (fractional):
Li: 0.000 0.000 0.000 [4 per cell]
Ho: 0.250 0.250 0.250 [8 per cell]
Pt: 0.000 0.000 0.500 [4 per cell]

- Size of the total moment: 0.22 μB/cell
- Energy of formation from the pure elements: -0.6782 eV/atom

Density functional theory data (PBE) for a relaxed LiHo2Ru crystal.

Unit cell a=6.914 b=6.914 c=6.914 alpha=90.00 beta=90.00 gamma=90.00
Space group Fm-3m (No. 225)
Symmetry-distinct sites (fractional):
Li: 0.000 0.000 0.000 [4 per cell]
Ho: 0.250 0.250 0.250 [8 per cell]
Ru: 0.000 0.000 0.500 [4 per cell]

- Energy of formation from the pure elements: -0.3031 eV/atom

Density functional theory data (PBE) for a relaxed LiHoS2 crystal.

Unit cell a=3.8910 b=3.8910 c=18.5366 alpha=90.00 beta=90.00 gamma=120.00
Space group R-3m (No. 166, hexagonal axes)
Symmetry-distinct sites (fractional):
Li: 0.0000 0.0000 0.0000 [3 per cell]
Ho: 0.0000 0.0000 0.5000 [3 per cell]
S: 0.0000 0.0000 0.2498 [6 per cell]

- Energy of formation from the pure elements: -2.1025 eV/atom
- MP2020-corrected energy: -69.52 eV per cell

Look up the energy of formation from the pure elements of the eleventh one. -0.3031 eV/atom

What is the energy of formation from the pure elements in the first record? -0.3762 eV/atom

Copy entry 6 word for word.
Density functional theory data (PBE) for a relaxed LiHo2O3 crystal.

Unit cell a=3.3458 b=3.3458 c=7.8689 alpha=90.00 beta=90.00 gamma=120.00
Space group P-3m1 (No. 164)
Symmetry-distinct sites (fractional):
Li: 0.0000 0.0000 0.0000 [1 per cell]
Ho: 0.3333 0.6667 0.6802 [2 per cell]
O: 0.0000 0.0000 0.5000 [1 per cell]
O: 0.3333 0.6667 0.1671 [2 per cell]

- Size of the total moment: 0.00 μB/cell
- Energy of formation from the pure elements: -3.1573 eV/atom
- MP2020-corrected energy: -44.86 eV per cell
- Energy above the lowest structure with this stoichiometry: 0.0 meV per atom